# 1
Compound: WO3
Source: the Materials Project database
Functional: PBE with a Hubbard U
Structure: optimized geometry

## Properties
ρ = 6.7 g/cm³
total energy = -60.06 eV per cell
calculated formation energy = -2182 meV/atom

Cell lengths 7.6757, 3.8856, 3.8677 Å; angles 90.00, 90.00, 90.00 degrees
Fractional positions:
W 0.2500 0.0000 0.0325
W 0.7500 0.0000 0.9675
O 0.0000 0.0000 0.0000
O 0.2500 0.0000 0.5128
O 0.2500 0.5000 0.0068
O 0.5000 0.0000 0.0000
O 0.7500 0.0000 0.4872
O 0.7500 0.5000 0.9932


# 2
Compound: W25O73
Source: the Materials Project database
Functional: PBE with a Hubbard U
Structure: optimized geometry

## Properties
ρ = 6.7 g/cm³
total energy = -1473.29 eV per cell
total magnetic moment = 1.3 Bohr magnetons per cell
calculated formation energy = -2169 meV/atom

Cell lengths 12.2586, 3.8609, 60.5676 Å; angles 90.00, 97.91, 90.00 degrees
Fractional positions:
W 0.0000 0.0157 0.2500
W 0.0000 0.9843 0.7500
W 0.0639 0.0164 0.6897
W 0.0639 0.9836 0.1897
W 0.1202 0.0108 0.4531
W 0.1202 0.9892 0.9531
W 0.1261 0.0143 0.1289
W 0.1261 0.9857 0.6289
W 0.1861 0.0132 0.8918
W 0.1861 0.9868 0.3918
W 0.1912 0.0025 0.5677
W 0.1912 0.9975 0.0677
W 0.2397 0.0156 0.0050
W 0.2397 0.9844 0.5050
W 0.2481 0.0157 0.3309
W 0.2481 0.9843 0.8309
W 0.3114 0.0171 0.7706
W 0.3114 0.9829 0.2706
W 0.3753 0.0178 0.2104
W 0.3753 0.9822 0.7104
W 0.4384 0.0175 0.6499
W 0.4384 0.9825 0.1499
W 0.4435 0.0037 0.4730
W 0.4435 0.9963 0.9730
W 0.4989 0.0098 0.4110
W 0.4989 0.9902 0.9110
W 0.5011 0.0098 0.0890
W 0.5011 0.9902 0.5890
W 0.5565 0.0037 0.0270
W 0.5565 0.9963 0.5270
W 0.5616 0.0175 0.8501
W 0.5616 0.9825 0.3501
W 0.6247 0.0178 0.2896
W 0.6247 0.9822 0.7896
W 0.6886 0.0171 0.7294
W 0.6886 0.9829 0.2294
W 0.7519 0.0157 0.1691
W 0.7519 0.9843 0.6691
W 0.7603 0.0156 0.4950
W 0.7603 0.9844 0.9950
W 0.8088 0.0025 0.9323
W 0.8088 0.9975 0.4323
W 0.8139 0.0132 0.6082
W 0.8139 0.9868 0.1082
W 0.8739 0.0143 0.3711
W 0.8739 0.9857 0.8711
W 0.8798 0.0108 0.0469
W 0.8798 0.9892 0.5469
W 0.9361 0.0164 0.8103
W 0.9361 0.9836 0.3103
O 0.0000 0.4952 0.7500
O 0.0000 0.5048 0.2500
O 0.0300 0.9997 0.3839
O 0.0300 0.0003 0.8839
O 0.0310 0.0019 0.0549
O 0.0310 0.9981 0.5549
O 0.0332 0.0008 0.7194
O 0.0332 0.9992 0.2194
O 0.0625 0.4951 0.1887
O 0.0625 0.5049 0.6887
O 0.0917 0.0012 0.1578
O 0.0917 0.9988 0.6578
O 0.0939 0.0006 0.3213
O 0.0939 0.9994 0.8213
O 0.1042 0.0042 0.9871
O 0.1042 0.9958 0.4871
O 0.1254 0.4959 0.9549
O 0.1254 0.5041 0.4549
O 0.1256 0.4963 0.6272
O 0.1256 0.5037 0.1272
O 0.1557 0.0008 0.7608
O 0.1557 0.9992 0.2608
O 0.1583 0.0009 0.5964
O 0.1583 0.9991 0.0964
O 0.1643 0.0018 0.4252
O 0.1643 0.9982 0.9252
O 0.1858 0.4964 0.3936
O 0.1858 0.5036 0.8936
O 0.1893 0.4999 0.0654
O 0.1893 0.5001 0.5654
O 0.2145 0.0030 0.0341
O 0.2145 0.9970 0.5341
O 0.2164 0.0013 0.8626
O 0.2164 0.9987 0.3626
O 0.2191 0.9995 0.1987
O 0.2191 0.0005 0.6987
O 0.2499 0.4938 0.5047
O 0.2498 0.4951 0.8321
O 0.2498 0.5049 0.3321
O 0.2499 0.5062 0.0047
O 0.2794 0.0054 0.4708
O 0.2794 0.9946 0.9708
O 0.2812 0.0004 0.1380
O 0.2812 0.9996 0.6380
O 0.2826 0.0005 0.3015
O 0.2826 0.9995 0.8015
O 0.3123 0.4941 0.2708
O 0.3123 0.5059 0.7708
O 0.3411 0.0000 0.2399
O 0.3411 0.0000 0.7399
O 0.3432 0.0006 0.4032
O 0.3432 0.9994 0.9032
O 0.3458 0.0001 0.0756
O 0.3458 0.9999 0.5756
O 0.3746 0.4950 0.7095
O 0.3746 0.5050 0.2095
O 0.4060 0.0005 0.8422
O 0.4060 0.9995 0.3422
O 0.4078 0.0013 0.6790
O 0.4075 0.0041 0.0072
O 0.4075 0.9959 0.5072
O 0.4078 0.9987 0.1790
O 0.4372 0.4956 0.1483
O 0.4372 0.5044 0.6483
O 0.4437 0.4958 0.9746
O 0.4437 0.5042 0.4746
O 0.4668 0.0027 0.1176
O 0.4668 0.9973 0.6176
O 0.4693 0.9999 0.2802
O 0.4693 0.0001 0.7802
O 0.4705 0.0112 0.4443
O 0.4705 0.9888 0.9443
O 0.4985 0.4947 0.9130
O 0.4985 0.5053 0.4130
O 0.5015 0.4947 0.5870
O 0.5015 0.5053 0.0870
O 0.5295 0.0112 0.0557
O 0.5295 0.9888 0.5557
O 0.5307 0.9999 0.2198
O 0.5307 0.0001 0.7198
O 0.5332 0.0027 0.3824
O 0.5332 0.9973 0.8824
O 0.5563 0.4958 0.5254
O 0.5563 0.5042 0.0254
O 0.5628 0.4956 0.3517
O 0.5628 0.5044 0.8517
O 0.5922 0.0013 0.8210
O 0.5925 0.0041 0.4928
O 0.5925 0.9959 0.9928
O 0.5922 0.9987 0.3210
O 0.5940 0.0005 0.6578
O 0.5940 0.9995 0.1578
O 0.6254 0.4950 0.7905
O 0.6254 0.5050 0.2905
O 0.6542 0.0001 0.4244
O 0.6542 0.9999 0.9244
O 0.6568 0.0006 0.0968
O 0.6568 0.9994 0.5968
O 0.6589 0.0000 0.2601
O 0.6589 0.0000 0.7601
O 0.6877 0.4941 0.2292
O 0.6877 0.5059 0.7292
O 0.7174 0.0005 0.1985
O 0.7174 0.9995 0.6985
O 0.7188 0.0004 0.3620
O 0.7188 0.9996 0.8620
O 0.7206 0.0054 0.0292
O 0.7206 0.9946 0.5292
O 0.7501 0.4938 0.9953
O 0.7502 0.4951 0.6679
O 0.7502 0.5049 0.1679
O 0.7501 0.5062 0.4953
O 0.7809 0.9995 0.3013
O 0.7809 0.0005 0.8013
O 0.7836 0.0013 0.6374
O 0.7836 0.9987 0.1374
O 0.7855 0.0030 0.4659
O 0.7855 0.9970 0.9659
O 0.8107 0.4999 0.4346
O 0.8107 0.5001 0.9346
O 0.8142 0.4964 0.1064
O 0.8142 0.5036 0.6064
O 0.8357 0.0018 0.0748
O 0.8357 0.9982 0.5748
O 0.8417 0.0009 0.9036
O 0.8417 0.9991 0.4036
O 0.8443 0.0008 0.7392
O 0.8443 0.9992 0.2392
O 0.8744 0.4963 0.8728
O 0.8744 0.5037 0.3728
O 0.8746 0.4959 0.5451
O 0.8746 0.5041 0.0451
O 0.8958 0.0042 0.5129
O 0.8958 0.9958 0.0129
O 0.9061 0.0006 0.1787
O 0.9061 0.9994 0.6787
O 0.9083 0.0012 0.3422
O 0.9083 0.9988 0.8422
O 0.9375 0.4951 0.3113
O 0.9375 0.5049 0.8113
O 0.9668 0.0008 0.7806
O 0.9668 0.9992 0.2806
O 0.9690 0.0019 0.4451
O 0.9690 0.9981 0.9451
O 0.9700 0.9997 0.1161
O 0.9700 0.0003 0.6161


# 3
Compound: WO2
Source: the Materials Project database
Functional: PBE with a Hubbard U
Structure: optimized geometry

## Properties
ρ = 7.6 g/cm³
total energy = -86.76 eV per cell
total magnetic moment = 8.0 Bohr magnetons per cell
calculated formation energy = -1549 meV/atom

Cell lengths 6.4398, 6.4398, 6.4398 Å; angles 60.00, 60.00, 60.00 degrees
Fractional positions:
W 0.0000 0.0000 0.0000
W 0.0000 0.0000 0.5000
W 0.0000 0.5000 0.0000
W 0.5000 0.0000 0.0000
O 0.1885 0.7705 0.7705
O 0.2295 0.2295 0.2295
O 0.2295 0.2295 0.8115
O 0.2295 0.8115 0.2295
O 0.7705 0.1885 0.7705
O 0.7705 0.7705 0.1885
O 0.7705 0.7705 0.7705
O 0.8115 0.2295 0.2295